! Li2NiBO4, optimized geometry, DFT GGA+U; values from VASP
! ΔE to the lowest computed polymorph in meV per atom: 0
&SYSTEM
  ibrav = 0, nat = 32, ntyp = 4
/
ATOMIC_SPECIES
Li 6.94 Li.upf
Ni 58.69 Ni.upf
B 10.81 B.upf
O 16.00 O.upf
CELL_PARAMETERS angstrom
10.058 0.000 0.000
0.000 6.101 0.000
0.000 0.000 4.752
ATOMIC_POSITIONS crystal
Li 0.077 0.239 0.000
Li 0.160 0.994 0.503
Li 0.340 0.494 0.003
Li 0.423 0.739 0.500
Li 0.577 0.261 0.000
Li 0.660 0.506 0.503
Li 0.840 0.006 0.003
Li 0.923 0.761 0.500
Ni 0.162 0.484 0.506
Ni 0.338 0.984 0.006
Ni 0.662 0.016 0.506
Ni 0.838 0.516 0.006
B 0.091 0.739 0.010
B 0.409 0.239 0.510
B 0.591 0.761 0.010
B 0.909 0.261 0.510
O 0.051 0.249 0.419
O 0.100 0.732 0.323
O 0.156 0.539 0.896
O 0.159 0.944 0.911
O 0.341 0.444 0.411
O 0.344 0.039 0.396
O 0.400 0.232 0.823
O 0.449 0.749 0.919
O 0.551 0.251 0.419
O 0.600 0.768 0.323
O 0.656 0.961 0.896
O 0.659 0.556 0.911
O 0.841 0.056 0.411
O 0.844 0.461 0.396
O 0.900 0.268 0.823
O 0.949 0.751 0.919



! MgV4O10, optimized geometry, DFT GGA+U; values from VASP
! ΔE to the lowest computed polymorph in meV per atom: 31
&SYSTEM
  ibrav = 0, nat = 15, ntyp = 3
/
ATOMIC_SPECIES
Mg 24.30 Mg.upf
V 50.94 V.upf
O 16.00 O.upf
CELL_PARAMETERS angstrom
11.334 0.000 0.000
0.000 1.833 5.165
0.000 -1.833 5.165
ATOMIC_POSITIONS crystal
Mg 0.000 0.000 0.000
V 0.149 0.305 0.305
V 0.351 0.895 0.895
V 0.649 0.895 0.895
V 0.851 0.305 0.305
O 0.000 0.408 0.408
O 0.120 0.147 0.147
O 0.173 0.868 0.868
O 0.319 0.348 0.348
O 0.368 0.049 0.049
O 0.500 0.830 0.830
O 0.632 0.049 0.049
O 0.681 0.348 0.348
O 0.827 0.868 0.868
O 0.880 0.147 0.147



## SrCo2P2O8 (GGA+U)

Data for crystalline SrCo2P2O8 at its relaxed geometry. Values from VASP.

Structure (Quantum ESPRESSO input):
```
&SYSTEM
  ibrav = 0, nat = 26, ntyp = 4
/
ATOMIC_SPECIES
Sr 87.62 Sr.upf
Co 58.93 Co.upf
P 30.97 P.upf
O 16.00 O.upf
CELL_PARAMETERS angstrom
5.075 0.000 0.000
-0.450 8.729 0.000
-2.094 -3.931 8.307
ATOMIC_POSITIONS crystal
Sr 0.224 0.236 0.051
Sr 0.776 0.764 0.949
Co 0.153 0.411 0.698
Co 0.388 0.108 0.413
Co 0.612 0.892 0.587
Co 0.847 0.589 0.302
P 0.109 0.780 0.694
P 0.313 0.711 0.192
P 0.687 0.289 0.808
P 0.891 0.220 0.306
O 0.002 0.333 0.836
O 0.016 0.620 0.712
O 0.036 0.934 0.824
O 0.073 0.231 0.472
O 0.361 0.757 0.059
O 0.417 0.794 0.698
O 0.427 0.868 0.362
O 0.449 0.560 0.206
O 0.551 0.440 0.794
O 0.573 0.132 0.638
O 0.583 0.206 0.302
O 0.639 0.243 0.941
O 0.927 0.769 0.528
O 0.964 0.066 0.176
O 0.984 0.380 0.288
O 0.998 0.667 0.164
```



## CsRb2FeF6 (GGA+U)

Data for crystalline CsRb2FeF6 at its relaxed geometry. Values from VASP.

Structure (Quantum ESPRESSO input):
```
&SYSTEM
  ibrav = 0, nat = 10, ntyp = 4
/
ATOMIC_SPECIES
Cs 132.91 Cs.upf
Rb 85.47 Rb.upf
Fe 55.84 Fe.upf
F 19.00 F.upf
CELL_PARAMETERS angstrom
0.000 4.665 4.665
4.665 0.000 4.665
4.665 4.665 0.000
ATOMIC_POSITIONS crystal
Cs 0.000 0.000 0.000
Rb 0.250 0.250 0.250
Rb 0.750 0.750 0.750
Fe 0.500 0.500 0.500
F 0.297 0.297 0.703
F 0.297 0.703 0.297
F 0.297 0.703 0.703
F 0.703 0.297 0.297
F 0.703 0.297 0.703
F 0.703 0.703 0.297
```



! V3OF11, optimized geometry, DFT GGA+U; values from VASP
! ΔE to the lowest computed polymorph in meV per atom: 30
&SYSTEM
  ibrav = 0, nat = 30, ntyp = 3
/
ATOMIC_SPECIES
V 50.94 V.upf
O 16.00 O.upf
F 19.00 F.upf
CELL_PARAMETERS angstrom
5.270 0.000 0.000
-0.007 5.453 0.000
-0.007 -2.646 14.521
ATOMIC_POSITIONS crystal
V 0.000 0.000 0.000
V 0.003 0.658 0.336
V 0.008 0.322 0.667
V 0.483 0.529 0.004
V 0.498 0.156 0.328
V 0.508 0.822 0.667
O 0.303 0.781 0.023
O 0.427 0.110 0.220
F 0.095 0.279 0.550
F 0.096 0.940 0.883
F 0.097 0.613 0.219
F 0.206 0.632 0.692
F 0.216 0.962 0.361
F 0.218 0.299 0.026
F 0.305 0.458 0.361
F 0.310 0.132 0.692
F 0.421 0.779 0.550
F 0.436 0.428 0.885
F 0.594 0.862 0.785
F 0.600 0.196 0.450
F 0.601 0.521 0.116
F 0.707 0.512 0.643
F 0.710 0.852 0.309
F 0.715 0.184 0.977
F 0.794 0.685 0.977
F 0.801 0.351 0.310
F 0.810 0.011 0.643
F 0.924 0.364 0.785
F 0.926 0.699 0.453
F 0.932 0.027 0.119



## NaMnVO4 (GGA+U)

Data for crystalline NaMnVO4 at its relaxed geometry. Values from VASP.

Structure (Quantum ESPRESSO input):
```
&SYSTEM
  ibrav = 0, nat = 28, ntyp = 4
/
ATOMIC_SPECIES
Na 22.99 Na.upf
Mn 54.94 Mn.upf
V 50.94 V.upf
O 16.00 O.upf
CELL_PARAMETERS angstrom
9.712 0.000 0.000
0.000 6.955 0.000
0.000 0.000 5.383
ATOMIC_POSITIONS crystal
Na 0.148 0.250 0.014
Na 0.352 0.750 0.514
Na 0.648 0.250 0.486
Na 0.852 0.750 0.986
Mn 0.000 0.000 0.500
Mn 0.000 0.500 0.500
Mn 0.500 0.000 0.000
Mn 0.500 0.500 0.000
V 0.180 0.750 0.021
V 0.320 0.250 0.521
V 0.680 0.750 0.479
V 0.820 0.250 0.979
O 0.115 0.553 0.175
O 0.115 0.947 0.175
O 0.122 0.750 0.710
O 0.137 0.250 0.561
O 0.363 0.750 0.061
O 0.378 0.250 0.210
O 0.385 0.053 0.675
O 0.385 0.447 0.675
O 0.615 0.553 0.325
O 0.615 0.947 0.325
O 0.622 0.750 0.790
O 0.637 0.250 0.939
O 0.863 0.750 0.439
O 0.878 0.250 0.290
O 0.885 0.053 0.825
O 0.885 0.447 0.825
```



! LiCoPO4, optimized geometry, DFT GGA+U; values from VASP
! ΔE to the lowest computed polymorph in meV per atom: 84
&SYSTEM
  ibrav = 0, nat = 28, ntyp = 4
/
ATOMIC_SPECIES
O 16.00 O.upf
Co 58.93 Co.upf
Li 6.94 Li.upf
P 30.97 P.upf
CELL_PARAMETERS angstrom
2.426 2.574 -3.378
-0.742 4.818 -0.404
9.710 2.538 12.445
ATOMIC_POSITIONS crystal
O 0.420 0.655 0.103
O 0.028 0.817 0.603
O 0.758 0.425 0.603
O 0.758 0.925 0.103
Co 0.447 0.777 0.670
O 0.818 0.787 0.761
Li 0.570 0.715 0.855
Co 0.129 0.936 0.193
O 0.028 0.317 0.103
Co 0.129 0.436 0.693
O 0.155 0.057 0.761
O 0.548 0.895 0.261
O 0.649 0.676 0.973
Co 0.447 0.277 0.170
Li 0.005 0.497 0.508
P 0.712 0.644 0.068
O 0.927 0.037 0.890
O 0.649 0.176 0.473
O 0.155 0.557 0.261
O 0.927 0.537 0.390
P 0.863 0.068 0.795
P 0.712 0.144 0.568
Li 0.570 0.215 0.355
O 0.818 0.287 0.261
O 0.548 0.395 0.761
Li 0.005 0.997 0.008
O 0.420 0.155 0.603
P 0.863 0.568 0.295



! La2MnCrO6, optimized geometry, DFT GGA+U; values from VASP
! ΔE to the lowest computed polymorph in meV per atom: 3
&SYSTEM
  ibrav = 0, nat = 20, ntyp = 4
/
ATOMIC_SPECIES
La 138.91 La.upf
Mn 54.94 Mn.upf
Cr 52.00 Cr.upf
O 16.00 O.upf
CELL_PARAMETERS angstrom
5.628 0.000 0.000
0.000 5.733 0.000
-5.544 0.000 7.713
ATOMIC_POSITIONS crystal
La 0.240 0.043 0.250
La 0.240 0.457 0.750
La 0.760 0.543 0.250
La 0.760 0.957 0.750
Mn 0.500 0.000 0.000
Mn 0.500 0.500 0.500
Cr 0.000 0.000 0.500
Cr 0.000 0.500 0.000
O 0.162 0.210 0.959
O 0.162 0.290 0.459
O 0.246 0.701 0.958
O 0.246 0.799 0.458
O 0.334 0.020 0.757
O 0.334 0.480 0.257
O 0.666 0.520 0.743
O 0.666 0.980 0.243
O 0.754 0.201 0.542
O 0.754 0.299 0.042
O 0.838 0.710 0.541
O 0.838 0.790 0.041



no.,total energy (eV per cell),mass density (Mg/m³),magnetic moment (μB/cell)
1,-188.55,3.358,11.999
2,-110.68,3.003,2.000
3,-182.05,3.569,12.000
4,-46.12,3.873,5.000
5,-170.79,3.007,0.020
6,-197.70,3.523,0.000
7,-184.42,3.276,0.000
8,-162.79,6.416,0.000